(1)
CuHgSBr after structural relaxation, computed with PBE.

For the energy above the most stable polymorph in this dataset, the calculation gives 4 meV/atom. The space group is Pbam.

Cell and atoms, written as POSCAR:
```
CuHgSBr
1.0
10.1286 0.0000 0.0000
0.0000 19.1119 0.0000
0.0000 0.0000 4.1072
Cu Hg S Br
8 8 8 8
direct
0.0686 0.1527 0.0000
0.0714 0.6489 0.0000
0.4286 0.1489 0.0000
0.4314 0.6527 0.0000
0.5686 0.3473 0.0000
0.5714 0.8511 0.0000
0.9286 0.3511 0.0000
0.9314 0.8473 0.0000
0.0000 0.0000 0.5000
0.0000 0.5000 0.5000
0.2503 0.3627 0.5000
0.2497 0.8627 0.5000
0.5000 0.0000 0.5000
0.5000 0.5000 0.5000
0.7503 0.1373 0.5000
0.7497 0.6373 0.5000
0.0093 0.8719 0.5000
0.0100 0.3723 0.5000
0.4900 0.8723 0.5000
0.4907 0.3719 0.5000
0.5093 0.6281 0.5000
0.5100 0.1277 0.5000
0.9900 0.6277 0.5000
0.9907 0.1281 0.5000
0.2488 0.7358 0.0000
0.2504 0.0190 0.0000
0.2496 0.5190 0.0000
0.2512 0.2358 0.0000
0.7488 0.7642 0.0000
0.7504 0.4810 0.0000
0.7496 0.9810 0.0000
0.7512 0.2642 0.0000
```

(2)
CaH16O10 after structural relaxation, computed with PBE.

The value obtained for the magnetic moment is 0.0 Bohr magnetons per cell. For the energy above the most stable polymorph in this dataset, the calculation gives 46 meV/atom. The space group is P1.

Cell and atoms, written as POSCAR:
```
CaH16O10
1.0
5.9146 0.0000 0.0000
0.1257 6.9575 0.0000
0.5055 0.0696 11.0377
Ca H O
2 32 20
direct
0.0000 0.0000 0.0000
0.0125 0.9340 0.5198
0.0210 0.2548 0.3650
0.0355 0.3616 0.0921
0.0376 0.5601 0.3768
0.1044 0.3201 0.7909
0.1438 0.7188 0.2924
0.2365 0.6226 0.1125
0.2674 0.3539 0.8999
0.2729 0.1095 0.2215
0.2944 0.3996 0.6146
0.3248 0.2210 0.4056
0.3313 0.8631 0.7122
0.3528 0.2544 0.1134
0.3562 0.5561 0.4408
0.3668 0.7319 0.9054
0.4575 0.9442 0.8796
0.4944 0.9742 0.6208
0.5195 0.9690 0.3867
0.5362 0.9790 0.1175
0.6276 0.5533 0.9675
0.6292 0.7632 0.3936
0.6309 0.2229 0.8955
0.6446 0.2265 0.6146
0.7021 0.9002 0.2121
0.7069 0.1063 0.7721
0.7073 0.6466 0.6332
0.7708 0.3565 0.4050
0.8476 0.3272 0.1914
0.8625 0.6846 0.8066
0.9573 0.5421 0.6485
0.9635 0.6607 0.1339
0.9643 0.2712 0.6413
0.9659 0.5452 0.9017
0.0739 0.3727 0.6594
0.1052 0.7298 0.1393
0.1213 0.2968 0.8831
0.1328 0.6790 0.3807
0.2352 0.1127 0.3793
0.3040 0.1152 0.1309
0.3206 0.8614 0.8756
0.3506 0.8981 0.6252
0.3864 0.4742 0.0881
0.4678 0.4431 0.5928
0.4714 0.5026 0.9617
0.4784 0.4590 0.4599
0.6680 0.8982 0.3797
0.6810 0.0952 0.8666
0.6838 0.9064 0.1240
0.7371 0.1107 0.6326
0.8646 0.6814 0.6461
0.8750 0.6658 0.8960
0.8777 0.3212 0.1026
0.9037 0.3621 0.3488
```

(3)
BaYF5 after structural relaxation, computed with PBE.

The value obtained for the magnetic moment is 0.0 Bohr magnetons per cell. For the energy above the most stable polymorph in this dataset, the calculation gives 36 meV/atom. The space group is P-1.

Cell and atoms, written as POSCAR:
```
BaYF5
1.0
7.5474 0.0000 0.0000
3.1482 8.1785 0.0000
2.7591 1.4058 10.5753
Ba Y F
6 6 30
direct
0.2088 0.0047 0.2772
0.2403 0.6385 0.5701
0.2751 0.2978 0.9399
0.7249 0.7022 0.0601
0.7597 0.3615 0.4299
0.7912 0.9953 0.7228
0.2164 0.5213 0.2411
0.2427 0.8355 0.9270
0.2716 0.1545 0.5839
0.7284 0.8455 0.4161
0.7573 0.1645 0.0730
0.7836 0.4787 0.7589
0.0819 0.7410 0.3611
0.1045 0.0622 0.0436
0.1251 0.3910 0.7144
0.1256 0.6167 0.0402
0.1415 0.3583 0.4313
0.1481 0.3200 0.1892
0.1587 0.9746 0.5391
0.1767 0.7570 0.7749
0.1800 0.0651 0.7859
0.3357 0.7426 0.1291
0.4311 0.4855 0.3578
0.4649 0.0837 0.3904
0.4888 0.3845 0.1135
0.4892 0.9387 0.9001
0.4979 0.2390 0.6156
0.5021 0.7610 0.3844
0.5108 0.0613 0.0999
0.5112 0.6155 0.8865
0.5351 0.9163 0.6096
0.5689 0.5145 0.6422
0.6643 0.2574 0.8709
0.8200 0.9349 0.2141
0.8233 0.2430 0.2251
0.8413 0.0254 0.4609
0.8519 0.6800 0.8108
0.8585 0.6417 0.5687
0.8744 0.3833 0.9598
0.8749 0.6090 0.2856
0.8955 0.9378 0.9564
0.9181 0.2590 0.6389
```

(4)
Na2NbSi2SnPO12 after structural relaxation, computed with PBE.

The value obtained for the magnetic moment is 0.0 Bohr magnetons per cell. The calculation puts the total DFT energy (no corrections) at -7.207 eV per atom.

Cell and atoms, written as POSCAR:
```
Na2NbSi2SnPO12
1.0
8.9728 0.0059 -0.0023
-4.4813 7.7736 0.0023
-0.0065 0.0037 22.6536
O P Si Na Sn Nb
72 6 12 12 6 6
direct
0.5498 0.8395 0.4764
0.5192 0.6947 0.2562
0.8831 0.5062 0.1430
0.8004 0.9731 0.6900
0.9678 0.7868 0.8065
0.3036 0.8417 0.9743
0.6300 0.4992 0.9216
0.8342 0.0367 0.0883
0.4784 0.1696 0.5276
0.8308 0.3164 0.2446
0.4975 0.6498 0.5779
0.1338 0.6398 0.3567
0.5016 0.1503 0.9228
0.0269 0.1996 0.1900
0.1391 0.4902 0.5770
0.6936 0.5329 0.5233
0.6386 0.1474 0.4229
0.1583 0.6964 0.4743
0.5049 0.6399 0.8627
0.8799 0.3655 0.6399
0.1675 0.7034 0.7550
0.3053 0.4808 0.7562
0.8117 0.8362 0.1942
0.5098 0.8609 0.0770
0.8526 0.3614 0.9229
0.6934 0.1617 0.0293
0.5465 0.6989 0.9732
0.8497 0.4984 0.4228
0.4724 0.1568 0.2436
0.4793 0.3076 0.7449
0.1638 0.1883 0.6942
0.4971 0.8550 0.3609
0.8271 0.7835 0.3097
0.1765 0.1943 0.4103
0.4916 0.3631 0.1410
0.0169 0.8358 0.4113
0.8383 0.3066 0.5293
0.3602 0.8662 0.8567
0.3011 0.4535 0.4732
0.6345 0.1201 0.1399
0.6924 0.5207 0.2449
0.9633 0.1658 0.5883
0.8127 0.9743 0.4115
0.8057 0.8235 0.9103
0.1683 0.4836 0.2561
0.6369 0.5084 0.6410
0.3502 0.5025 0.0779
0.1605 0.4502 0.9764
0.3591 0.8540 0.5782
0.1460 0.6409 0.0782
0.4938 0.1169 0.6430
0.3601 0.4951 0.3627
0.8304 0.5216 0.0276
0.6836 0.1692 0.7446
0.1716 0.9733 0.1960
0.1859 0.0280 0.5896
0.5008 0.3700 0.4216
0.8249 0.0297 0.8076
0.2132 0.0322 0.3065
0.1642 0.9831 0.9113
0.4671 0.3064 0.0233
0.5164 0.8317 0.7561
0.1450 0.5029 0.8609
0.0257 0.1873 0.9115
0.9720 0.8141 0.0896
0.1831 0.1651 0.0894
0.2966 0.8325 0.2550
0.8349 0.8169 0.5894
0.8432 0.5276 0.7436
0.0267 0.8284 0.6960
0.9703 0.1751 0.3076
0.2165 0.1729 0.8097
0.9959 0.7086 0.7504
0.9580 0.3374 0.5837
0.6247 0.6708 0.9171
0.3292 0.3753 0.4171
0.2914 0.0041 0.2504
0.6626 0.0420 0.0837
0.6630 0.6214 0.5829
0.6248 0.9587 0.4175
0.9581 0.6253 0.0841
0.0453 0.6704 0.4162
0.0413 0.3752 0.9175
0.3296 0.9547 0.9162
0.7080 0.7085 0.2508
0.7119 0.0037 0.7495
0.3747 0.0419 0.5841
0.3786 0.3370 0.0829
0.2915 0.2920 0.7508
0.9963 0.2881 0.2495
0.3716 0.0080 0.7502
0.7049 0.6746 0.4169
0.9963 0.9831 0.9971
0.0382 0.3413 0.0836
0.3296 0.6497 0.6638
0.3503 0.6704 0.1638
0.0169 0.0037 0.4971
0.6629 0.3164 0.3305
0.6587 0.9618 0.5836
0.6836 0.3371 0.8305
0.9920 0.6284 0.2502
0.3254 0.2951 0.9169
0.9979 0.0010 0.8525
0.9990 0.0021 0.3525
0.3323 0.6688 0.0191
0.6646 0.3344 0.1858
0.6656 0.3354 0.6858
0.3312 0.6677 0.5191
0.0007 0.0001 0.6450
0.6674 0.3335 0.9783
0.9999 0.9993 0.1450
0.3332 0.6659 0.8116
0.3341 0.6668 0.3116
0.6665 0.3326 0.4783
```

(5)
KMg14Zr after structural relaxation, computed with PBE.

The value obtained for the magnetic moment is 0.0 Bohr magnetons per cell. For the energy above the most stable polymorph in this dataset, the calculation gives 29 meV/atom. The space group is Amm2.

Cell and atoms, written as POSCAR:
```
KMg14Zr
1.0
10.3815 0.0000 0.0000
0.0000 3.3261 5.6569
0.0000 -3.3261 5.6569
K Mg Zr
1 14 1
direct
0.0000 0.0000 0.0000
0.0000 0.5033 0.9974
0.0000 0.9974 0.5033
0.2463 0.6625 0.6625
0.2575 0.1754 0.6534
0.2575 0.6534 0.1754
0.2600 0.1713 0.1713
0.5000 0.4992 0.4992
0.5000 0.4998 0.9960
0.5000 0.9960 0.4998
0.5000 0.9979 0.9979
0.7400 0.1713 0.1713
0.7425 0.1754 0.6534
0.7425 0.6534 0.1754
0.7537 0.6625 0.6625
0.0000 0.4905 0.4905
```

(6)
Ho3Rh2 after structural relaxation, computed with PBE.

The value obtained for the magnetic moment is 0.0 Bohr magnetons per cell. The calculation puts the total DFT energy (no corrections) at -6.482 eV per atom. The space group is I4/mcm.

Cell and atoms, written as POSCAR:
```
Ho3Rh2
1.0
-5.5920 5.5920 12.5753
5.5920 -5.5920 12.5753
5.5920 5.5920 -12.5753
Ho Rh
42 28
direct
0.0043 0.7252 0.8722
0.0169 0.7268 0.1305
0.0963 0.2268 0.7098
0.1119 0.6119 0.5000
0.1136 0.9831 0.7098
0.1321 0.0043 0.2791
0.1470 0.8679 0.8722
0.1503 0.3497 0.5000
0.2252 0.5043 0.8722
0.2268 0.5169 0.1305
0.2500 0.7500 0.5000
0.2732 0.4037 0.2902
0.2748 0.1470 0.2791
0.3497 0.8497 0.1994
0.3530 0.2252 0.7209
0.3679 0.6470 0.8722
0.3864 0.0963 0.8695
0.3881 0.8881 0.5000
0.4037 0.1136 0.1305
0.4831 0.6136 0.7098
0.4957 0.3679 0.7209
0.5043 0.6321 0.2791
0.5169 0.3864 0.2902
0.5963 0.8864 0.8695
0.6119 0.1119 0.5000
0.6136 0.9037 0.1305
0.6321 0.3530 0.1278
0.6470 0.7748 0.2791
0.6503 0.1503 0.8006
0.7252 0.8530 0.7209
0.7268 0.5963 0.7098
0.7500 0.2500 0.5000
0.7732 0.4831 0.8695
0.7748 0.4957 0.1278
0.8497 0.6503 0.5000
0.8530 0.1321 0.1278
0.8679 0.9957 0.7209
0.8864 0.0169 0.2902
0.8881 0.3881 0.5000
0.9037 0.7732 0.2902
0.9831 0.2732 0.8695
0.9957 0.2748 0.1278
0.0000 0.0000 0.0000
0.0342 0.5342 0.1917
0.0727 0.2148 0.5000
0.0968 0.5968 0.6937
0.1337 0.1337 0.0000
0.1575 0.9658 0.5000
0.2148 0.7148 0.1421
0.2500 0.2500 0.0000
0.2852 0.4273 0.5000
0.3425 0.8425 0.8083
0.3663 0.3663 0.0000
0.4032 0.0968 0.5000
0.4273 0.9273 0.1421
0.4658 0.6575 0.5000
0.5000 0.5000 0.0000
0.5342 0.3425 0.5000
0.5727 0.0727 0.8579
0.5968 0.9032 0.5000
0.6337 0.6337 0.0000
0.6575 0.1575 0.1917
0.7148 0.5727 0.5000
0.7500 0.7500 0.0000
0.7852 0.2852 0.8579
0.8425 0.0342 0.5000
0.8663 0.8663 0.0000
0.9032 0.4032 0.3063
0.9273 0.7852 0.5000
0.9658 0.4658 0.8083
```

Repeat the sixth record exactly.
Ho3Rh2 after structural relaxation, computed with PBE.

The value obtained for the magnetic moment is 0.0 Bohr magnetons per cell. The calculation puts the total DFT energy (no corrections) at -6.482 eV per atom. The space group is I4/mcm.

Cell and atoms, written as POSCAR:
```
Ho3Rh2
1.0
-5.5920 5.5920 12.5753
5.5920 -5.5920 12.5753
5.5920 5.5920 -12.5753
Ho Rh
42 28
direct
0.0043 0.7252 0.8722
0.0169 0.7268 0.1305
0.0963 0.2268 0.7098
0.1119 0.6119 0.5000
0.1136 0.9831 0.7098
0.1321 0.0043 0.2791
0.1470 0.8679 0.8722
0.1503 0.3497 0.5000
0.2252 0.5043 0.8722
0.2268 0.5169 0.1305
0.2500 0.7500 0.5000
0.2732 0.4037 0.2902
0.2748 0.1470 0.2791
0.3497 0.8497 0.1994
0.3530 0.2252 0.7209
0.3679 0.6470 0.8722
0.3864 0.0963 0.8695
0.3881 0.8881 0.5000
0.4037 0.1136 0.1305
0.4831 0.6136 0.7098
0.4957 0.3679 0.7209
0.5043 0.6321 0.2791
0.5169 0.3864 0.2902
0.5963 0.8864 0.8695
0.6119 0.1119 0.5000
0.6136 0.9037 0.1305
0.6321 0.3530 0.1278
0.6470 0.7748 0.2791
0.6503 0.1503 0.8006
0.7252 0.8530 0.7209
0.7268 0.5963 0.7098
0.7500 0.2500 0.5000
0.7732 0.4831 0.8695
0.7748 0.4957 0.1278
0.8497 0.6503 0.5000
0.8530 0.1321 0.1278
0.8679 0.9957 0.7209
0.8864 0.0169 0.2902
0.8881 0.3881 0.5000
0.9037 0.7732 0.2902
0.9831 0.2732 0.8695
0.9957 0.2748 0.1278
0.0000 0.0000 0.0000
0.0342 0.5342 0.1917
0.0727 0.2148 0.5000
0.0968 0.5968 0.6937
0.1337 0.1337 0.0000
0.1575 0.9658 0.5000
0.2148 0.7148 0.1421
0.2500 0.2500 0.0000
0.2852 0.4273 0.5000
0.3425 0.8425 0.8083
0.3663 0.3663 0.0000
0.4032 0.0968 0.5000
0.4273 0.9273 0.1421
0.4658 0.6575 0.5000
0.5000 0.5000 0.0000
0.5342 0.3425 0.5000
0.5727 0.0727 0.8579
0.5968 0.9032 0.5000
0.6337 0.6337 0.0000
0.6575 0.1575 0.1917
0.7148 0.5727 0.5000
0.7500 0.7500 0.0000
0.7852 0.2852 0.8579
0.8425 0.0342 0.5000
0.8663 0.8663 0.0000
0.9032 0.4032 0.3063
0.9273 0.7852 0.5000
0.9658 0.4658 0.8083
```